[1]
SrB2Rh2 | PBE | optimized geometry

a = 7.1547 Å, b = 6.1637 Å, c = 5.6231 Å
α = 74.59°, β = 56.15°, γ = 49.26°
Element x y z (fractional)
Sr: 0.1250 0.1250 0.1250
Sr: 0.8750 0.8750 0.8750
B: 0.2034 0.5466 0.2034
B: 0.4534 0.7966 0.4534
B: 0.5466 0.2034 0.5466
B: 0.7966 0.4534 0.7966
Rh: 0.2443 0.2443 0.5057
Rh: 0.4943 0.4943 0.7557
Rh: 0.5057 0.5057 0.2443
Rh: 0.7557 0.7557 0.4943

---

[2]
Na6Zr3ZnSi2P4O24 | PBE | optimized geometry

a = 15.8283 Å, b = 9.1508 Å, c = 9.1392 Å
α = 90.23°, β = 124.78°, γ = 89.85°
Element x y z (fractional)
O: 0.5414 0.8320 0.5745
O: 0.4620 0.1613 0.4243
O: 0.4270 0.3479 0.7565
O: 0.9270 0.8479 0.7565
O: 0.7407 0.1657 0.2495
O: 0.9326 0.0474 0.5733
O: 0.0643 0.9546 0.4257
O: 0.7592 0.6837 0.2465
O: 0.2434 0.3165 0.7554
O: 0.5711 0.6569 0.2445
O: 0.4326 0.5474 0.5733
O: 0.9523 0.3420 0.9395
O: 0.0787 0.8605 0.7388
O: 0.2592 0.1837 0.2465
O: 0.8591 0.3491 0.6033
O: 0.8487 0.4204 0.2552
O: 0.0414 0.3320 0.5745
O: 0.5643 0.4546 0.4257
O: 0.0711 0.1569 0.2445
O: 0.6459 0.1614 0.4014
O: 0.7434 0.8165 0.7554
O: 0.1528 0.4373 0.2524
O: 0.3528 0.0680 0.7577
O: 0.2577 0.8436 0.7462
O: 0.7577 0.3436 0.7462
O: 0.0468 0.6590 0.0664
O: 0.9425 0.9401 0.0925
O: 0.4425 0.4401 0.0925
O: 0.9620 0.6613 0.4243
O: 0.3487 0.9204 0.2552
O: 0.1550 0.5781 0.7388
O: 0.0635 0.0549 0.9097
O: 0.8528 0.5680 0.7577
O: 0.1503 0.3681 0.9266
O: 0.9150 0.1328 0.2531
O: 0.5787 0.3605 0.7388
O: 0.3520 0.1393 0.0742
O: 0.2407 0.6657 0.2495
O: 0.4523 0.8420 0.9395
O: 0.6550 0.0781 0.7388
O: 0.5468 0.1590 0.0664
O: 0.5635 0.5549 0.9097
O: 0.8520 0.6393 0.0742
O: 0.6528 0.9373 0.2524
O: 0.6503 0.8681 0.9266
O: 0.3591 0.8491 0.6033
O: 0.4150 0.6328 0.2531
O: 0.1459 0.6614 0.4014
P: 0.5020 0.5478 0.2547
P: 0.1469 0.6036 0.2413
P: 0.0020 0.0478 0.2547
P: 0.4990 0.4573 0.7477
P: 0.3568 0.8961 0.7662
P: 0.6469 0.1036 0.2413
P: 0.9990 0.9573 0.7477
P: 0.8568 0.3961 0.7662
Zr: 0.1038 0.7483 0.5570
Zr: 0.8962 0.2541 0.4427
Zr: 0.6038 0.2483 0.5570
Zr: 0.8947 0.7559 0.9357
Zr: 0.3947 0.2559 0.9357
Zr: 0.3962 0.7541 0.4427
Na: 0.2503 0.7490 0.9992
Na: 0.7503 0.2490 0.9992
Na: 0.9967 0.3866 0.2263
Na: 0.1842 0.0824 0.8094
Na: 0.6842 0.5824 0.8094
Na: 0.7989 0.9236 0.2068
Na: 0.0104 0.5873 0.7731
Na: 0.2410 0.2457 0.4753
Na: 0.4967 0.8866 0.2263
Na: 0.2989 0.4236 0.2068
Na: 0.5104 0.0873 0.7731
Na: 0.7410 0.7457 0.4753
Si: 0.6494 0.8990 0.7521
Si: 0.3500 0.1012 0.2508
Si: 0.8500 0.6012 0.2508
Si: 0.1494 0.3990 0.7521
Zn: 0.6048 0.7416 0.0559
Zn: 0.1048 0.2416 0.0559

## Properties
excess energy over the best structure of this formula in the dataset = 4 meV per atom
corrected total energy (MP2020 scheme) = -607.56 eV per cell

---

[3]
KSmP4O12 | PBE | optimized geometry

a = 7.5306 Å, b = 7.5306 Å, c = 10.7090 Å
α = 100.96°, β = 100.96°, γ = 115.51°
Element x y z (fractional)
K: 0.1894 0.8106 0.7500
K: 0.8106 0.1894 0.2500
Sm: 0.1207 0.8793 0.2500
Sm: 0.8793 0.1207 0.7500
P: 0.2516 0.3048 0.5504
P: 0.2869 0.6218 0.0045
P: 0.3048 0.2516 0.0504
P: 0.3782 0.7131 0.4955
P: 0.6218 0.2869 0.5045
P: 0.6952 0.7484 0.9496
P: 0.7131 0.3782 0.9955
P: 0.7484 0.6952 0.4496
O: 0.0942 0.4875 0.8878
O: 0.1380 0.1691 0.4077
O: 0.1691 0.1380 0.9077
O: 0.1727 0.2430 0.6611
O: 0.1998 0.6992 0.3954
O: 0.2430 0.1727 0.1611
O: 0.2773 0.5319 0.5627
O: 0.3008 0.8002 0.1046
O: 0.3545 0.4912 0.0861
O: 0.4681 0.7227 0.9373
O: 0.4875 0.0942 0.3878
O: 0.4912 0.3545 0.5861
O: 0.5088 0.6455 0.4139
O: 0.5125 0.9058 0.6122
O: 0.5319 0.2773 0.0627
O: 0.6455 0.5088 0.9139
O: 0.6992 0.1998 0.8954
O: 0.7227 0.4681 0.4373
O: 0.7570 0.8273 0.8389
O: 0.8002 0.3008 0.6046
O: 0.8273 0.7570 0.3389
O: 0.8309 0.8620 0.0923
O: 0.8620 0.8309 0.5923
O: 0.9058 0.5125 0.1122

## Properties
corrected total energy (MP2020 scheme) = -278.77 eV per cell

---

[4]
TbCdAg2 | PBE | optimized geometry

a = 4.9713 Å, b = 4.9713 Å, c = 4.9713 Å
α = 60.00°, β = 60.00°, γ = 60.00°
Element x y z (fractional)
Tb: 0.0000 0.0000 0.0000
Cd: 0.5000 0.5000 0.5000
Ag: 0.2500 0.2500 0.2500
Ag: 0.7500 0.7500 0.7500

---

[5]
Na3Zr2Si2PO12 | PBE | optimized geometry

a = 9.1618 Å, b = 9.1618 Å, c = 9.2683 Å
α = 119.27°, β = 119.27°, γ = 60.18°
Element x y z (fractional)
Na: 0.0000 0.0000 0.0000
Na: 0.1381 0.5316 0.5665
Na: 0.3832 0.1366 0.2340
Na: 0.4684 0.8619 0.4335
Na: 0.7825 0.2175 0.5000
Na: 0.8634 0.6168 0.7660
Zr: 0.0404 0.7587 0.1934
Zr: 0.2413 0.9596 0.8066
Zr: 0.5305 0.2677 0.6951
Zr: 0.7323 0.4695 0.3049
Si: 0.1328 0.1507 0.4922
Si: 0.3317 0.6683 0.0000
Si: 0.4326 0.5674 0.5000
Si: 0.8493 0.8672 0.5078
P: 0.6372 0.0772 0.0115
P: 0.9228 0.3628 0.9885
O: 0.0176 0.8821 0.6917
O: 0.0994 0.2036 0.9876
O: 0.1179 0.9824 0.3083
O: 0.1363 0.1022 0.6419
O: 0.1388 0.6887 0.9923
O: 0.2649 0.6096 0.3282
O: 0.3113 0.8612 0.0077
O: 0.3182 0.1760 0.5381
O: 0.3782 0.5035 0.8257
O: 0.3904 0.7351 0.6718
O: 0.4523 0.3807 0.5040
O: 0.4642 0.0577 0.9751
O: 0.4965 0.6218 0.1743
O: 0.6193 0.5477 0.4960
O: 0.6233 0.1315 0.8687
O: 0.6619 0.0312 0.5226
O: 0.6765 0.2244 0.1913
O: 0.7756 0.3235 0.8087
O: 0.7964 0.9006 0.0124
O: 0.8240 0.6818 0.4619
O: 0.8685 0.3767 0.1313
O: 0.8978 0.8637 0.3581
O: 0.9423 0.5358 0.0249
O: 0.9688 0.3381 0.4774

## Properties
excess energy over the best structure of this formula in the dataset = 15 meV per atom
corrected total energy (MP2020 scheme) = -318.74 eV per cell

---

[6]
BaBr2O2 | PBE | optimized geometry

a = 5.9694 Å, b = 5.9694 Å, c = 9.6613 Å
α = 114.23°, β = 114.23°, γ = 70.06°
Element x y z (fractional)
Ba: 0.1603 0.8397 0.7500
Ba: 0.8397 0.1603 0.2500
Br: 0.1422 0.6220 0.3636
Br: 0.3780 0.8578 0.1364
Br: 0.6220 0.1422 0.8636
Br: 0.8578 0.3780 0.6364
O: 0.2213 0.3491 0.5398
O: 0.3491 0.2213 0.0398
O: 0.6509 0.7787 0.9602
O: 0.7787 0.6509 0.4602

## Properties
corrected total energy (MP2020 scheme) = -38.37 eV per cell

---

[7]
HoIn5Co | PBE | optimized geometry

a = 4.5868 Å, b = 4.5868 Å, c = 7.5435 Å
α = 90.00°, β = 90.00°, γ = 90.00°
Element x y z (fractional)
Ho: 0.0000 0.0000 0.0000
In: 0.0000 0.5000 0.3062
In: 0.0000 0.5000 0.6938
In: 0.5000 0.0000 0.3062
In: 0.5000 0.0000 0.6938
In: 0.5000 0.5000 0.0000
Co: 0.0000 0.0000 0.5000

---

[8]
Ca3Ga3Ir2 | PBE | optimized geometry

a = 8.1175 Å, b = 14.9865 Å, c = 5.8412 Å
α = 90.00°, β = 90.00°, γ = 90.00°
Element x y z (fractional)
Ca: 0.0480 0.1078 0.1119
Ca: 0.0480 0.3922 0.1119
Ca: 0.1997 0.2500 0.6217
Ca: 0.3003 0.7500 0.1217
Ca: 0.4520 0.6078 0.6119
Ca: 0.4520 0.8922 0.6119
Ca: 0.5480 0.1078 0.3881
Ca: 0.5480 0.3922 0.3881
Ca: 0.6997 0.2500 0.8783
Ca: 0.8003 0.7500 0.3783
Ca: 0.9520 0.6078 0.8881
Ca: 0.9520 0.8922 0.8881
Ga: 0.1440 0.7500 0.5800
Ga: 0.1782 0.0393 0.6239
Ga: 0.1782 0.4607 0.6239
Ga: 0.3218 0.5393 0.1239
Ga: 0.3218 0.9607 0.1239
Ga: 0.3560 0.2500 0.0800
Ga: 0.6440 0.7500 0.9200
Ga: 0.6782 0.0393 0.8761
Ga: 0.6782 0.4607 0.8761
Ga: 0.8218 0.5393 0.3761
Ga: 0.8218 0.9607 0.3761
Ga: 0.8560 0.2500 0.4200
Ir: 0.1103 0.5994 0.3937
Ir: 0.1103 0.9006 0.3937
Ir: 0.3897 0.0994 0.8937
Ir: 0.3897 0.4006 0.8937
Ir: 0.6103 0.5994 0.1063
Ir: 0.6103 0.9006 0.1063
Ir: 0.8897 0.0994 0.6063
Ir: 0.8897 0.4006 0.6063

---

[9]
Na3Ta2Zn4P3S6O36 | PBE | optimized geometry

a = 8.7404 Å, b = 8.7404 Å, c = 22.5897 Å
α = 90.00°, β = 90.00°, γ = 120.00°
Element x y z (fractional)
Na: 0.0000 0.0000 0.0000
Na: 0.0000 0.0000 0.5000
Na: 0.3333 0.6667 0.1638
Na: 0.3333 0.6667 0.6638
Na: 0.6667 0.3333 0.3321
Na: 0.6667 0.3333 0.8321
Ta: 0.3333 0.6667 0.3234
Ta: 0.3333 0.6667 0.8234
Ta: 0.6667 0.3333 0.4832
Ta: 0.6667 0.3333 0.9832
Zn: 0.0000 0.0000 0.1540
Zn: 0.0000 0.0000 0.3591
Zn: 0.0000 0.0000 0.6540
Zn: 0.0000 0.0000 0.8591
Zn: 0.3333 0.6667 0.0193
Zn: 0.3333 0.6667 0.5193
Zn: 0.6667 0.3333 0.1889
Zn: 0.6667 0.3333 0.6889
P: 0.0438 0.3715 0.4258
P: 0.0438 0.6723 0.9258
P: 0.3277 0.3715 0.9258
P: 0.3277 0.9562 0.4258
P: 0.6285 0.6723 0.4258
P: 0.6285 0.9562 0.9258
S: 0.9997 0.2940 0.7557
S: 0.9997 0.7057 0.2557
S: 0.2943 0.0003 0.7557
S: 0.2943 0.2940 0.2557
S: 0.3728 0.0403 0.0902
S: 0.3728 0.3325 0.5902
S: 0.6675 0.0403 0.5902
S: 0.6675 0.6272 0.0902
S: 0.7060 0.0003 0.2557
S: 0.7060 0.7057 0.7557
S: 0.9597 0.3325 0.0902
S: 0.9597 0.6272 0.5902
O: 0.0073 0.1874 0.4139
O: 0.0073 0.8199 0.9139
O: 0.0342 0.2243 0.7012
O: 0.0342 0.8099 0.2012
O: 0.1341 0.4969 0.3697
O: 0.1341 0.6372 0.8697
O: 0.1345 0.4897 0.0842
O: 0.1345 0.6448 0.5842
O: 0.1490 0.4518 0.4807
O: 0.1490 0.6973 0.9807
O: 0.1658 0.4786 0.7640
O: 0.1658 0.6872 0.2640
O: 0.1801 0.1874 0.9139
O: 0.1801 0.9927 0.4139
O: 0.1901 0.2243 0.2012
O: 0.1901 0.9658 0.7012
O: 0.2017 0.0357 0.0893
O: 0.2017 0.1660 0.5893
O: 0.2120 0.0221 0.8086
O: 0.2120 0.1899 0.3086
O: 0.3027 0.4518 0.9807
O: 0.3027 0.8510 0.4807
O: 0.3128 0.4786 0.2640
O: 0.3128 0.8342 0.7640
O: 0.3552 0.4897 0.5842
O: 0.3552 0.8655 0.0842
O: 0.3628 0.4969 0.8697
O: 0.3628 0.8659 0.3697
O: 0.4739 0.1535 0.0358
O: 0.4739 0.3203 0.5358
O: 0.4758 0.1249 0.1435
O: 0.4758 0.3510 0.6435
O: 0.4769 0.1507 0.7507
O: 0.4769 0.3262 0.2507
O: 0.5031 0.6372 0.3697
O: 0.5031 0.8659 0.8697
O: 0.5081 0.1404 0.4304
O: 0.5081 0.3677 0.9304
O: 0.5103 0.6448 0.0842
O: 0.5103 0.8655 0.5842
O: 0.5214 0.6872 0.7640
O: 0.5214 0.8342 0.2640
O: 0.5482 0.6973 0.4807
O: 0.5482 0.8510 0.9807
O: 0.6323 0.1404 0.9304
O: 0.6323 0.4919 0.4304
O: 0.6490 0.1249 0.6435
O: 0.6490 0.5242 0.1435
O: 0.6738 0.1507 0.2507
O: 0.6738 0.5231 0.7507
O: 0.6797 0.1535 0.5358
O: 0.6797 0.5261 0.0358
O: 0.7757 0.8099 0.7012
O: 0.7757 0.9658 0.2012
O: 0.8101 0.0221 0.3086
O: 0.8101 0.7880 0.8086
O: 0.8126 0.8199 0.4139
O: 0.8126 0.9927 0.9139
O: 0.8340 0.0357 0.5893
O: 0.8340 0.7983 0.0893
O: 0.8465 0.3203 0.0358
O: 0.8465 0.5261 0.5358
O: 0.8493 0.3262 0.7507
O: 0.8493 0.5231 0.2507
O: 0.8596 0.3677 0.4304
O: 0.8596 0.4919 0.9304
O: 0.8751 0.3510 0.1435
O: 0.8751 0.5242 0.6435
O: 0.9643 0.1660 0.0893
O: 0.9643 0.7983 0.5893
O: 0.9779 0.1899 0.8086
O: 0.9779 0.7880 0.3086

## Properties
corrected total energy (MP2020 scheme) = -749.82 eV per cell

---

[10]
Na2CuSbS3 | PBE | optimized geometry

a = 5.8672 Å, b = 17.2454 Å, c = 7.0334 Å
α = 90.00°, β = 117.00°, γ = 90.00°
Element x y z (fractional)
Na: 0.0647 0.1133 0.1176
Na: 0.0647 0.3867 0.6176
Na: 0.3462 0.0384 0.6903
Na: 0.3462 0.4616 0.1903
Na: 0.6538 0.5384 0.8097
Na: 0.6538 0.9616 0.3097
Na: 0.9353 0.6133 0.3824
Na: 0.9353 0.8867 0.8824
Cu: 0.3812 0.2123 0.8996
Cu: 0.3812 0.2877 0.3996
Cu: 0.6188 0.7123 0.6004
Cu: 0.6188 0.7877 0.1004
Sb: 0.2451 0.6739 0.0183
Sb: 0.2451 0.8261 0.5183
Sb: 0.7549 0.1739 0.4817
Sb: 0.7549 0.3261 0.9817
S: 0.1580 0.5569 0.8051
S: 0.1580 0.9431 0.3051
S: 0.2096 0.1959 0.5399
S: 0.2096 0.3041 0.0399
S: 0.4248 0.6128 0.3734
S: 0.4248 0.8872 0.8734
S: 0.5752 0.1128 0.1266
S: 0.5752 0.3872 0.6266
S: 0.7904 0.6959 0.9601
S: 0.7904 0.8041 0.4601
S: 0.8420 0.0569 0.6949
S: 0.8420 0.4431 0.1949

## Properties
corrected total energy (MP2020 scheme) = -118.27 eV per cell

---

Calculated E (eV per atom), listed in the same order as above: -6.51 -7.18 -7.29 -3.09 -7.56 -3.56 -3.86 -4.72 -6.48 -4.01
Calculated E_form (eV/atom), listed in the same order as above: -0.55 -2.94 -2.92 -0.29 -3.13 -0.82 -0.22 -0.62 -2.28 -0.90